A plane-wave DFT calculation with PBE+U was carried out for crystalline Li7Mn5O12 at its relaxed geometry.

- total energy (eV per cell) = -306.7
- magnetization (μB per atom) = 0.750
- V (Å³ per atom) = 9.2
- ΔE to the lowest computed polymorph (meV/atom) = 15
- energy with MP2020 corrections (eV per atom) = -7.0809

abc: 6.520 9.007 7.809
angles: 83.09 87.07 76.57
Fractional positions:
Li: 0.387 0.126 0.870
O: 0.946 0.492 0.156
O: 0.542 0.701 0.311
O: 0.548 0.036 0.317
O: 0.557 0.342 0.341
Mn: 0.751 0.589 0.744
Li: 0.122 0.368 0.620
O: 0.443 0.992 0.659
Mn: 0.749 0.241 0.753
Li: 0.371 0.783 0.883
Li: 0.613 0.207 0.130
O: 0.047 0.541 0.809
O: 0.706 0.717 0.931
Mn: 0.500 0.167 0.500
Li: 0.252 0.416 0.246
Mn: 0.501 0.836 0.500
Mn: 0.251 0.092 0.247
O: 0.801 0.451 0.565
Li: 0.873 0.282 0.381
Li: 0.886 0.617 0.373
Mn: 0.992 0.997 0.004
Li: 0.748 0.917 0.754
O: 0.298 0.274 0.052
Mn: 0.249 0.744 0.256
Li: 0.378 0.454 0.886
Mn: 0.500 0.497 0.500
Li: 0.114 0.716 0.627
O: 0.054 0.841 0.844
O: 0.211 0.577 0.424
O: 0.709 0.406 0.912
O: 0.955 0.138 0.187
Li: 0.127 0.051 0.619
O: 0.702 0.059 0.948
Li: 0.878 0.965 0.380
O: 0.458 0.632 0.689
O: 0.291 0.927 0.088
Li: 0.622 0.880 0.114
O: 0.294 0.616 0.069
O: 0.795 0.111 0.566
Mn: 0.008 0.336 0.996
O: 0.205 0.222 0.434
O: 0.953 0.792 0.191
O: 0.789 0.756 0.576
Mn: 0.000 0.667 0.000
O: 0.199 0.882 0.435
O: 0.045 0.195 0.813
O: 0.452 0.297 0.684
Li: 0.629 0.550 0.117